No. 1
Here is crystalline Os2N4Cl10O at its relaxed geometry from the Materials Project database. Energies are from PBE-GGA.

```
data_Os2N4Cl10O
_space_group_name_H-M_alt 'I 4/m m m'
_space_group_IT_number 139
_space_group_name_Hall '-I 4 2'
_cell_length_a 7.320
_cell_length_b 7.320
_cell_length_c 16.939
_cell_angle_alpha 90.00
_cell_angle_beta 90.00
_cell_angle_gamma 90.00
loop_
_atom_site_label
_atom_site_type_symbol
_atom_site_fract_x
_atom_site_fract_y
_atom_site_fract_z
Os1 Os 0.000 0.000 0.110
N1 N 0.000 0.500 0.000
N2 N 0.000 0.500 0.250
Cl1 Cl 0.000 0.000 0.243
Cl2 Cl 0.223 0.223 0.109
O1 O 0.000 0.000 0.000
```

Results
Energy of formation from the pure elements   0.8575 eV per atom
M_tot   8.00 μB/f.u.

=====

No. 2
Here is crystalline Pr4Si4N7ClO3 at its relaxed geometry from the Materials Project database. Energies are from PBE-GGA.

```
data_Pr4Si4N7ClO3
_space_group_name_H-M_alt 'P 21 21 21'
_space_group_IT_number 19
_space_group_name_Hall 'P 2ac 2ab'
_cell_length_a 10.423
_cell_length_b 10.495
_cell_length_c 10.620
_cell_angle_alpha 90.00
_cell_angle_beta 90.00
_cell_angle_gamma 90.00
loop_
_atom_site_label
_atom_site_type_symbol
_atom_site_fract_x
_atom_site_fract_y
_atom_site_fract_z
Pr1 Pr 0.046 0.184 0.310
Pr2 Pr 0.106 0.893 0.899
Pr3 Pr 0.182 0.812 0.544
Pr4 Pr 0.192 0.551 0.822
Si1 Si 0.072 0.429 0.071
Si2 Si 0.082 0.258 0.805
Si3 Si 0.195 0.918 0.256
Si4 Si 0.246 0.698 0.077
N1 N 0.052 0.367 0.923
N2 N 0.078 0.945 0.365
N3 N 0.131 0.348 0.677
N4 N 0.134 0.578 0.054
N5 N 0.150 0.824 0.132
N6 N 0.175 0.131 0.850
N7 N 0.214 0.258 0.426
Cl1 Cl 0.075 0.578 0.429
O1 O 0.069 0.714 0.735
O2 O 0.166 0.335 0.159
O3 O 0.240 0.066 0.211
```

Results
Energy of formation from the pure elements   -2.0096 eV per atom
M_tot   0.00 μB/f.u.

=====

No. 3
Here is crystalline RuSN4Cl2O2 at its relaxed geometry from the Materials Project database. Energies are from PBE-GGA.

```
data_RuSN4Cl2O2
_space_group_name_H-M_alt 'P n m a'
_space_group_IT_number 62
_space_group_name_Hall '-P 2ac 2n'
_cell_length_a 16.468
_cell_length_b 5.090
_cell_length_c 14.004
_cell_angle_alpha 90.00
_cell_angle_beta 90.00
_cell_angle_gamma 90.00
loop_
_atom_site_label
_atom_site_type_symbol
_atom_site_fract_x
_atom_site_fract_y
_atom_site_fract_z
Ru1 Ru 0.098 0.250 0.184
S1 S 0.187 0.250 0.476
N1 N 0.046 0.028 0.298
N2 N 0.157 0.520 0.160
Cl1 Cl 0.008 0.750 0.918
Cl2 Cl 0.030 0.750 0.336
O1 O 0.160 0.250 0.575
O2 O 0.228 0.750 0.954
```

Results
Energy of formation from the pure elements   0.5715 eV per atom
M_tot   0.00 μB/f.u.

=====

No. 4
Here is crystalline OsPtN4Cl6 at its relaxed geometry from the Materials Project database. Energies are from PBE-GGA.

```
data_OsPtN4Cl6
_space_group_name_H-M_alt 'C m c e'
_space_group_IT_number 64
_space_group_name_Hall '-C 2ac 2'
_cell_length_a 11.277
_cell_length_b 11.320
_cell_length_c 9.106
_cell_angle_alpha 90.00
_cell_angle_beta 90.00
_cell_angle_gamma 90.00
loop_
_atom_site_label
_atom_site_type_symbol
_atom_site_fract_x
_atom_site_fract_y
_atom_site_fract_z
Os1 Os 0.000 0.000 0.000
Pt1 Pt 0.000 0.000 0.500
N1 N 0.111 0.049 0.350
Cl1 Cl 0.000 0.096 0.227
Cl2 Cl 0.145 0.130 0.919
```

Results
Energy of formation from the pure elements   0.6936 eV per atom
M_tot   2.00 μB/f.u.

=====

No. 5
Here is crystalline PNCl2 at its relaxed geometry from the Materials Project database. Energies are from PBE-GGA.

```
data_PNCl2
_space_group_name_H-M_alt 'P n m a'
_space_group_IT_number 62
_space_group_name_Hall '-P 2ac 2n'
_cell_length_a 14.740
_cell_length_b 13.750
_cell_length_c 6.554
_cell_angle_alpha 90.00
_cell_angle_beta 90.00
_cell_angle_gamma 90.00
loop_
_atom_site_label
_atom_site_type_symbol
_atom_site_fract_x
_atom_site_fract_y
_atom_site_fract_z
P1 P 0.054 0.250 0.090
P2 P 0.095 0.649 0.062
N1 N 0.003 0.150 0.044
N2 N 0.145 0.750 0.103
Cl1 Cl 0.086 0.575 0.328
Cl2 Cl 0.094 0.250 0.384
Cl3 Cl 0.174 0.250 0.942
Cl4 Cl 0.178 0.564 0.898
```

Results
Energy of formation from the pure elements   -0.8749 eV per atom
M_tot   0.00 μB/f.u.

=====

No. 6
Here is crystalline PNCl2 at its relaxed geometry from the Materials Project database. Energies are from PBE-GGA.

```
data_PNCl2
_space_group_name_H-M_alt 'P 42/n'
_space_group_IT_number 86
_cell_length_a 13.561
_cell_length_b 13.561
_cell_length_c 7.724
_cell_angle_alpha 90.00
_cell_angle_beta 90.00
_cell_angle_gamma 90.00
loop_
_space_group_symop_operation_xyz
'x,y,z'
'-x,-y,-z'
'-y,x+1/2,z+1/2'
'y,-x+1/2,-z+1/2'
'-x+1/2,-y+1/2,z'
'x+1/2,y+1/2,-z'
'y+1/2,-x,z+1/2'
'-y+1/2,x,-z+1/2'
loop_
_atom_site_label
_atom_site_type_symbol
_atom_site_fract_x
_atom_site_fract_y
_atom_site_fract_z
P1 P 0.045 0.182 0.036
N1 N 0.094 0.094 0.957
Cl1 Cl 0.004 0.694 0.079
Cl2 Cl 0.023 0.210 0.290
```

Results
Energy of formation from the pure elements   -0.1547 eV per atom
M_tot   0.00 μB/f.u.

=====

No. 7
Here is crystalline P3N4Cl5 at its relaxed geometry from the Materials Project database. Energies are from PBE-GGA.

```
data_P3N4Cl5
_space_group_name_H-M_alt 'P -1'
_space_group_IT_number 2
_space_group_name_Hall '-P 1'
_cell_length_a 6.325
_cell_length_b 8.648
_cell_length_c 11.590
_cell_angle_alpha 100.25
_cell_angle_beta 104.74
_cell_angle_gamma 98.45
loop_
_atom_site_label
_atom_site_type_symbol
_atom_site_fract_x
_atom_site_fract_y
_atom_site_fract_z
P1 P 0.008 0.343 0.213
P2 P 0.061 0.985 0.800
P3 P 0.092 0.774 0.594
N1 N 0.011 0.835 0.859
N2 N 0.047 0.628 0.659
N3 N 0.099 0.952 0.667
N4 N 0.106 0.265 0.542
Cl1 Cl 0.182 0.889 0.203
Cl2 Cl 0.191 0.548 0.898
Cl3 Cl 0.314 0.472 0.234
Cl4 Cl 0.331 0.141 0.917
Cl5 Cl 0.374 0.771 0.543
```

Results
Energy of formation from the pure elements   -0.4535 eV per atom
M_tot   2.00 μB/f.u.

=====

No. 8
Here is crystalline P3NCl12 at its relaxed geometry from the Materials Project database. Energies are from PBE-GGA.

```
data_P3NCl12
_space_group_name_H-M_alt 'P 1 21/c 1'
_space_group_IT_number 14
_space_group_name_Hall '-P 2ybc'
_cell_length_a 12.172
_cell_length_b 21.762
_cell_length_c 16.400
_cell_angle_alpha 90.00
_cell_angle_beta 119.08
_cell_angle_gamma 90.00
loop_
_atom_site_label
_atom_site_type_symbol
_atom_site_fract_x
_atom_site_fract_y
_atom_site_fract_z
P1 P 0.023 0.216 0.436
P2 P 0.042 0.530 0.333
P3 P 0.088 0.537 0.843
P4 P 0.442 0.207 0.371
P5 P 0.455 0.530 0.715
P6 P 0.463 0.725 0.453
N1 N 0.063 0.015 0.269
N2 N 0.453 0.241 0.941
Cl1 Cl 0.005 0.105 0.122
Cl2 Cl 0.007 0.724 0.943
Cl3 Cl 0.053 0.049 0.631
Cl4 Cl 0.053 0.210 0.316
Cl5 Cl 0.067 0.037 0.923
Cl6 Cl 0.101 0.637 0.113
Cl7 Cl 0.120 0.618 0.804
Cl8 Cl 0.137 0.724 0.642
Cl9 Cl 0.147 0.204 0.985
Cl10 Cl 0.182 0.157 0.515
Cl11 Cl 0.208 0.545 0.344
Cl12 Cl 0.237 0.515 0.962
Cl13 Cl 0.281 0.716 0.416
Cl14 Cl 0.296 0.591 0.647
Cl15 Cl 0.307 0.229 0.245
Cl16 Cl 0.328 0.049 0.177
Cl17 Cl 0.385 0.532 0.214
Cl18 Cl 0.399 0.126 0.402
Cl19 Cl 0.402 0.696 0.137
Cl20 Cl 0.418 0.107 0.746
Cl21 Cl 0.448 0.539 0.846
Cl22 Cl 0.463 0.519 0.587
Cl23 Cl 0.471 0.713 0.868
Cl24 Cl 0.483 0.146 0.073
```

Results
Energy of formation from the pure elements   -1.0491 eV per atom

=====

- Number 1 is which compound?
  Os2N4Cl10O

=====

- Which value of energy of formation from the pure elements does entry 5 give?
  -0.8749 eV per atom